1.
First-principles (r²SCAN) data for crystalline Ti3Co5B2 at its relaxed geometry, as listed in Materials Project.

abc: 8.3545 8.3545 3.0470
angles: 90.00 90.00 90.00
Fractional positions:
Ti 0.0000 0.0000 0.0000
Ti 0.1744 0.3256 0.0000
Ti 0.3256 0.8256 0.0000
Ti 0.5000 0.5000 0.0000
Ti 0.6744 0.1744 0.0000
Ti 0.8256 0.6744 0.0000
Co 0.0000 0.5000 0.5000
Co 0.0709 0.7795 0.5000
Co 0.2205 0.0709 0.5000
Co 0.2795 0.5709 0.5000
Co 0.4291 0.2795 0.5000
Co 0.5000 0.0000 0.5000
Co 0.5709 0.7205 0.5000
Co 0.7205 0.4291 0.5000
Co 0.7795 0.9291 0.5000
Co 0.9291 0.2205 0.5000
B 0.1203 0.6203 0.0000
B 0.3797 0.1203 0.0000
B 0.6203 0.8797 0.0000
B 0.8797 0.3797 0.0000

## Properties
Symmetry: P4/mbm
E (eV for the cell shown): -248.82

=====

2.
First-principles (r²SCAN) data for crystalline K2ReBr6 at its relaxed geometry, as listed in Materials Project.

abc: 7.3805 7.3805 7.3805
angles: 60.00 60.00 60.00
Fractional positions:
K 0.2500 0.2500 0.2500
K 0.7500 0.7500 0.7500
Re 0.0000 0.0000 0.0000
Br 0.2417 0.2417 0.7583
Br 0.2417 0.7583 0.2417
Br 0.2417 0.7583 0.7583
Br 0.7583 0.2417 0.2417
Br 0.7583 0.2417 0.7583
Br 0.7583 0.7583 0.2417

## Properties
Symmetry: Fm-3m
E (eV for the cell shown): -154.72

=====

3.
First-principles (r²SCAN) data for crystalline LaAs2Pd3 at its relaxed geometry, as listed in Materials Project.

abc: 4.1698 8.6664 10.0815
angles: 107.50 90.03 103.88
Fractional positions:
La 0.0000 0.0000 0.0000
La 0.1560 0.3113 0.7028
La 0.8440 0.6887 0.2972
As 0.2001 0.4006 0.1263
As 0.3644 0.7277 0.5480
As 0.4645 0.9295 0.2206
As 0.5355 0.0705 0.7794
As 0.6356 0.2723 0.4520
As 0.7999 0.5994 0.8737
Pd 0.0463 0.0935 0.3353
Pd 0.2225 0.4449 0.3911
Pd 0.3259 0.6505 0.0345
Pd 0.3738 0.7460 0.7969
Pd 0.5000 0.0000 0.5000
Pd 0.6262 0.2540 0.2031
Pd 0.6741 0.3495 0.9655
Pd 0.7775 0.5551 0.6089
Pd 0.9537 0.9065 0.6647

## Properties
Symmetry: P-1
E (eV for the cell shown): -400.87

=====

4.
First-principles (r²SCAN) data for crystalline K2GeTe4 at its relaxed geometry, as listed in Materials Project.

abc: 12.8013 8.6168 10.0530
angles: 90.00 104.25 90.00
Fractional positions:
K 0.0455 0.0639 0.2126
K 0.0455 0.4361 0.7126
K 0.3466 0.0746 0.6945
K 0.3466 0.4254 0.1945
K 0.6534 0.5746 0.8055
K 0.6534 0.9254 0.3055
K 0.9545 0.5639 0.2874
K 0.9545 0.9361 0.7874
Ge 0.2567 0.6377 0.5373
Ge 0.2567 0.8623 0.0373
Ge 0.7433 0.1377 0.9627
Ge 0.7433 0.3623 0.4627
Te 0.1162 0.6561 0.0300
Te 0.1162 0.8439 0.5300
Te 0.2022 0.1396 0.9583
Te 0.2022 0.3604 0.4583
Te 0.3495 0.5272 0.7816
Te 0.3495 0.9728 0.2816
Te 0.4291 0.7292 0.4547
Te 0.4291 0.7708 0.9547
Te 0.5709 0.2292 0.0453
Te 0.5709 0.2708 0.5453
Te 0.6505 0.0272 0.7184
Te 0.6505 0.4728 0.2184
Te 0.7978 0.6396 0.5417
Te 0.7978 0.8604 0.0417
Te 0.8838 0.1561 0.4700
Te 0.8838 0.3439 0.9700

## Properties
Symmetry: P2_1/c
E (eV for the cell shown): -529.07

=====

5.
First-principles (r²SCAN) data for crystalline AlCu3 at its relaxed geometry, as listed in Materials Project.

abc: 3.6374 3.6374 3.6374
angles: 90.00 90.00 90.00
Fractional positions:
Al 0.0000 0.0000 0.0000
Cu 0.0000 0.5000 0.5000
Cu 0.5000 0.0000 0.5000
Cu 0.5000 0.5000 0.0000

## Properties
Symmetry: Pm-3m
E (eV for the cell shown): -40.05

=====

6.
First-principles (r²SCAN) data for crystalline MgH24Cl2O12 at its relaxed geometry, as listed in Materials Project.

abc: 7.2431 14.2420 8.6688
angles: 90.00 116.87 90.00
Fractional positions:
Mg 0.0000 0.0000 0.0000
Mg 0.0000 0.5000 0.5000
H 0.0224 0.1643 0.4799
H 0.0224 0.3357 0.9799
H 0.0677 0.1324 0.2526
H 0.0677 0.3676 0.7526
H 0.0847 0.6753 0.4281
H 0.0847 0.8247 0.9281
H 0.2383 0.5928 0.8049
H 0.2383 0.9072 0.3049
H 0.2439 0.2020 0.5160
H 0.2439 0.2980 0.0160
H 0.2610 0.0333 0.8472
H 0.2610 0.4667 0.3472
H 0.2700 0.0582 0.6010
H 0.2700 0.4418 0.1010
H 0.2874 0.1131 0.9821
H 0.2874 0.3869 0.4821
H 0.3254 0.5496 0.1392
H 0.3254 0.9504 0.6392
H 0.3910 0.5378 0.7506
H 0.3910 0.9622 0.2506
H 0.4725 0.7380 0.4517
H 0.4725 0.7620 0.9517
H 0.4942 0.7071 0.2890
H 0.4942 0.7929 0.7890
H 0.5058 0.2071 0.2110
H 0.5058 0.2929 0.7110
H 0.5275 0.2380 0.0483
H 0.5275 0.2620 0.5483
H 0.6090 0.0378 0.7494
H 0.6090 0.4622 0.2494
H 0.6746 0.0496 0.3608
H 0.6746 0.4504 0.8608
H 0.7126 0.6131 0.5179
H 0.7126 0.8869 0.0179
H 0.7300 0.5582 0.8990
H 0.7300 0.9418 0.3990
H 0.7390 0.5333 0.6528
H 0.7390 0.9667 0.1528
H 0.7561 0.7020 0.9840
H 0.7561 0.7980 0.4840
H 0.7617 0.0928 0.6951
H 0.7617 0.4072 0.1951
H 0.9153 0.1753 0.0719
H 0.9153 0.3247 0.5719
H 0.9323 0.6324 0.2474
H 0.9323 0.8676 0.7474
H 0.9776 0.6643 0.0201
H 0.9776 0.8357 0.5201
Cl 0.2695 0.6900 0.0223
Cl 0.2695 0.8100 0.5223
Cl 0.7305 0.1900 0.4777
Cl 0.7305 0.3100 0.9777
O 0.0135 0.1248 0.1266
O 0.0135 0.3752 0.6266
O 0.1474 0.1482 0.4692
O 0.1474 0.3518 0.9692
O 0.2055 0.0577 0.9235
O 0.2055 0.4423 0.4235
O 0.2444 0.5504 0.7195
O 0.2444 0.9496 0.2195
O 0.3537 0.0125 0.6926
O 0.3537 0.4875 0.1926
O 0.4267 0.2144 0.0855
O 0.4267 0.2856 0.5855
O 0.5733 0.7144 0.4145
O 0.5733 0.7856 0.9145
O 0.6463 0.5125 0.8074
O 0.6463 0.9875 0.3074
O 0.7556 0.0504 0.7805
O 0.7556 0.4496 0.2805
O 0.7945 0.5577 0.5765
O 0.7945 0.9423 0.0765
O 0.8526 0.6482 0.0308
O 0.8526 0.8518 0.5308
O 0.9865 0.6248 0.3734
O 0.9865 0.8752 0.8734

## Properties
Symmetry: P2_1/c
E (eV for the cell shown): -431.95

=====

7.
First-principles (r²SCAN) data for crystalline Lu4CdPd at its relaxed geometry, as listed in Materials Project.

abc: 9.4157 9.4157 9.4157
angles: 60.00 60.00 60.00
Fractional positions:
Lu 0.1850 0.1850 0.8150
Lu 0.1850 0.8150 0.1850
Lu 0.1850 0.8150 0.8150
Lu 0.3950 0.3950 0.3950
Lu 0.3950 0.3950 0.8151
Lu 0.3950 0.8151 0.3950
Lu 0.5608 0.5608 0.9392
Lu 0.5608 0.9392 0.5608
Lu 0.5608 0.9392 0.9392
Lu 0.8150 0.1850 0.1850
Lu 0.8150 0.1850 0.8150
Lu 0.8151 0.3950 0.3950
Lu 0.8150 0.8150 0.1850
Lu 0.9392 0.5608 0.5608
Lu 0.9392 0.5608 0.9392
Lu 0.9392 0.9392 0.5608
Cd 0.1676 0.1676 0.1676
Cd 0.1676 0.1676 0.4972
Cd 0.1676 0.4972 0.1676
Cd 0.4972 0.1676 0.1676
Pd 0.1853 0.6049 0.6049
Pd 0.6049 0.1853 0.6049
Pd 0.6049 0.6049 0.1853
Pd 0.6049 0.6049 0.6049

## Properties
Symmetry: F-43m
E (eV for the cell shown): -793.90

=====

8.
First-principles (r²SCAN) data for crystalline CsYbS2 at its relaxed geometry, as listed in Materials Project.

abc: 4.0079 4.0079 24.1375
angles: 90.00 90.00 120.00
Fractional positions:
Cs 0.0000 0.0000 0.0000
Cs 0.3333 0.6667 0.6667
Cs 0.6667 0.3333 0.3333
Yb 0.0000 0.0000 0.5000
Yb 0.3333 0.6667 0.1667
Yb 0.6667 0.3333 0.8333
S 0.0000 0.0000 0.2262
S 0.0000 0.0000 0.7738
S 0.3333 0.6667 0.4405
S 0.3333 0.6667 0.8929
S 0.6667 0.3333 0.1071
S 0.6667 0.3333 0.5595

## Properties
Symmetry: R-3m
E (eV for the cell shown): -258.40